No. 1
DFT (GGA-PBE) results for an optimized crystal structure of USnPd2.

Cell lengths 8.0973, 5.1287, 7.7234 Å; angles 90.00, 90.00, 90.00 degrees
Last column: nearest neighbours and their distance in Å.
Atoms (fractional coordinates):
Pd1 0.4611 0.7500 0.2959  2 Sn 2.71-2.75, 1 Pd 2.78, 1 U 2.86
Pd2 0.5320 0.2500 0.0635  2 Sn 2.67-2.84, 3 Pd 2.78-2.79, 1 U 2.87
Pd3 0.0389 0.7500 0.7959  2 Sn 2.71-2.75, 1 Pd 2.78, 1 U 2.86
Pd4 0.4680 0.7500 0.9365  2 Sn 2.67-2.84, 3 Pd 2.78-2.79, 1 U 2.87
Pd5 0.9611 0.2500 0.2041  2 Sn 2.71-2.75, 1 Pd 2.78, 1 U 2.86
Pd6 0.9680 0.2500 0.5635  2 Sn 2.67-2.84, 3 Pd 2.78-2.79, 1 U 2.87
Pd7 0.5389 0.2500 0.7041  2 Sn 2.71-2.75, 1 Pd 2.78, 1 U 2.86
Pd8 0.0320 0.7500 0.4365  2 Sn 2.67-2.84, 3 Pd 2.78-2.79, 1 U 2.87
Sn1 0.1650 0.7500 0.1209  4 Pd 2.67-2.84
Sn2 0.6650 0.2500 0.3791  4 Pd 2.67-2.84
Sn3 0.3350 0.7500 0.6209  4 Pd 2.67-2.84
Sn4 0.8350 0.2500 0.8791  4 Pd 2.67-2.84
U1 0.2264 0.2500 0.8754  5 Pd 2.86-3.19, 1 Sn 3.17
U2 0.7736 0.7500 0.1246  5 Pd 2.86-3.19, 1 Sn 3.17
U3 0.2736 0.2500 0.3754  5 Pd 2.86-3.19, 1 Sn 3.17
U4 0.7264 0.7500 0.6246  5 Pd 2.86-3.19, 1 Sn 3.17

Computed properties:
- DFT total energy: -6.789 eV per atom
- Energy relative to the elements: -373 meV/atom

=====

No. 2
DFT (GGA-PBE) results for an optimized crystal structure of USnPd.

Cell lengths 4.9945, 4.9945, 5.7794 Å; angles 90.00, 90.00, 120.00 degrees
Last column: nearest neighbours and their distance in Å.
Atoms (fractional coordinates):
U1 0.0000 0.0000 0.5000  2 U 2.89, 6 Sn 3.23, 6 Pd 3.23
U2 0.0000 0.0000 0.0000  2 U 2.89, 6 Sn 3.23, 6 Pd 3.23
Pd1 0.3333 0.6667 0.7500  5 Sn 2.88-2.89, 6 U 3.23
Pd2 0.6667 0.3333 0.2500  5 Sn 2.88-2.89, 6 U 3.23
Sn1 0.3333 0.6667 0.2500  5 Pd 2.88-2.89, 6 U 3.23
Sn2 0.6667 0.3333 0.7500  5 Pd 2.88-2.89, 6 U 3.23

Computed properties:
- DFT total energy: -7.251 eV per atom
- Energy relative to the elements: -424 meV/atom

=====

No. 3
DFT (GGA-PBE) results for an optimized crystal structure of U2SnPd2.

Cell lengths 7.6680, 7.6680, 3.7899 Å; angles 90.00, 90.00, 90.00 degrees
Last column: nearest neighbours and their distance in Å.
Atoms (fractional coordinates):
U1 0.1726 0.3274 0.5000  6 Pd 2.86-3.01
U2 0.6726 0.1726 0.5000  6 Pd 2.86-3.01
U3 0.8274 0.6726 0.5000  6 Pd 2.86-3.01
U4 0.3274 0.8274 0.5000  6 Pd 2.86-3.01
Sn1 0.5000 0.5000 0.0000  4 Pd 3.01
Sn2 0.0000 0.0000 0.0000  4 Pd 3.01
Pd1 0.8698 0.3698 0.0000  1 Pd 2.82, 6 U 2.86-3.01, 2 Sn 3.01
Pd2 0.6302 0.8698 0.0000  1 Pd 2.82, 6 U 2.86-3.01, 2 Sn 3.01
Pd3 0.3698 0.1302 0.0000  1 Pd 2.82, 6 U 2.86-3.01, 2 Sn 3.01
Pd4 0.1302 0.6302 0.0000  1 Pd 2.82, 6 U 2.86-3.01, 2 Sn 3.01

Computed properties:
- DFT total energy: -7.660 eV per atom
- Energy relative to the elements: -270 meV/atom

=====

No. 4
DFT (GGA-PBE) results for an optimized crystal structure of VSnPd.

Cell lengths 4.3540, 4.3540, 4.3540 Å; angles 60.00, 60.00, 60.00 degrees
Last column: nearest neighbours and their distance in Å.
Atoms (fractional coordinates):
Pd1 0.7500 0.7500 0.7500  4 V 2.67, 4 Sn 2.67
V1 0.5000 0.5000 0.5000  4 Pd 2.67
Sn1 0.0000 0.0000 0.0000  4 Pd 2.67

Computed properties:
- DFT total energy: -6.157 eV per atom
- Energy relative to the elements: -66 meV/atom

=====

No. 5
DFT (GGA-PBE) results for an optimized crystal structure of Y13Sn31Pd40.

Cell lengths 20.2134, 20.2134, 9.3930 Å; angles 90.00, 90.00, 120.00 degrees
Last column: nearest neighbours and their distance in Å.
Atoms (fractional coordinates):
Pd1 0.5526 0.6584 0.7789  5 Sn 2.79-2.89, 2 Pd 2.96-2.99
Pd2 0.2605 0.7395 0.6528  6 Sn 2.80-3.11, 3 Pd 2.87-2.96
Pd3 0.7643 0.6793 0.0000  4 Sn 2.66-2.78, 1 Pd 2.98
Pd4 0.8942 0.3416 0.7789  5 Sn 2.79-2.89, 2 Pd 2.96-2.99
Pd5 0.8579 0.1421 0.5000  6 Sn 2.75-2.83, 2 Pd 3.08
Pd6 0.4474 0.3416 0.2211  5 Sn 2.79-2.89, 2 Pd 2.96-2.99
Pd7 0.9124 0.8249 0.7567  5 Sn 2.82-3.14, 3 Pd 3.07-3.08, 1 Y 3.08
Pd8 0.1421 0.8579 0.5000  6 Sn 2.75-2.83, 2 Pd 3.08
Pd9 0.8942 0.5526 0.2211  5 Sn 2.79-2.89, 2 Pd 2.96-2.99
Pd10 0.4554 0.9109 0.0000  6 Sn 2.76-2.90, 4 Pd 2.99
Pd11 0.4474 0.1058 0.7789  5 Sn 2.79-2.89, 2 Pd 2.96-2.99
Pd12 0.8249 0.9124 0.2433  5 Sn 2.82-3.14, 3 Pd 3.07-3.08, 1 Y 3.08
Pd13 0.4791 0.7395 0.6528  6 Sn 2.80-3.11, 3 Pd 2.87-2.96
Pd14 0.6584 0.1058 0.2211  5 Sn 2.79-2.89, 2 Pd 2.96-2.99
Pd15 0.9124 0.0876 0.2433  5 Sn 2.82-3.14, 3 Pd 3.07-3.08, 1 Y 3.08
Pd16 0.9150 0.6793 0.0000  4 Sn 2.66-2.78, 1 Pd 2.98
Pd17 0.7643 0.0850 0.0000  4 Sn 2.66-2.78, 1 Pd 2.98
Pd18 0.8942 0.3416 0.2211  5 Sn 2.79-2.89, 2 Pd 2.96-2.99
Pd19 0.6584 0.5526 0.7789  5 Sn 2.79-2.89, 2 Pd 2.96-2.99
Pd20 0.4554 0.5446 0.0000  6 Sn 2.76-2.90, 4 Pd 2.99
Pd21 0.4791 0.7395 0.3472  6 Sn 2.80-3.11, 3 Pd 2.87-2.96
Pd22 0.2605 0.5209 0.6528  6 Sn 2.80-3.11, 3 Pd 2.87-2.96
Pd23 0.9124 0.0876 0.7567  5 Sn 2.82-3.14, 3 Pd 3.07-3.08, 1 Y 3.08
Pd24 0.0876 0.1751 0.2433  5 Sn 2.82-3.14, 3 Pd 3.07-3.08, 1 Y 3.08
Pd25 0.7395 0.4791 0.6528  6 Sn 2.80-3.11, 3 Pd 2.87-2.96
Pd26 0.1751 0.0876 0.2433  5 Sn 2.82-3.14, 3 Pd 3.07-3.08, 1 Y 3.08
Pd27 0.6584 0.1058 0.7789  5 Sn 2.79-2.89, 2 Pd 2.96-2.99
Pd28 0.7395 0.2605 0.3472  6 Sn 2.80-3.11, 3 Pd 2.87-2.96
Pd29 0.5771 0.5771 0.5000  4 Sn 2.67-2.74
Pd30 0.1058 0.6584 0.2211  5 Sn 2.79-2.89, 2 Pd 2.96-2.99
Pd31 0.5526 0.8942 0.2211  5 Sn 2.79-2.89, 2 Pd 2.96-2.99
Pd32 0.7395 0.4791 0.3472  6 Sn 2.80-3.11, 3 Pd 2.87-2.96
Pd33 0.9150 0.2357 0.0000  4 Sn 2.66-2.78, 1 Pd 2.98
Pd34 0.2605 0.5209 0.3472  6 Sn 2.80-3.11, 3 Pd 2.87-2.96
Pd35 0.5526 0.6584 0.2211  5 Sn 2.79-2.89, 2 Pd 2.96-2.99
Pd36 0.7395 0.2605 0.6528  6 Sn 2.80-3.11, 3 Pd 2.87-2.96
Pd37 0.0876 0.9124 0.7567  5 Sn 2.82-3.14, 3 Pd 3.07-3.08, 1 Y 3.08
Pd38 0.9124 0.8249 0.2433  5 Sn 2.82-3.14, 3 Pd 3.07-3.08, 1 Y 3.08
Pd39 0.5446 0.4554 0.0000  6 Sn 2.76-2.90, 4 Pd 2.99
Pd40 0.5209 0.2605 0.3472  6 Sn 2.80-3.11, 3 Pd 2.87-2.96
Pd41 0.1421 0.2842 0.5000  6 Sn 2.75-2.83, 2 Pd 3.08
Pd42 0.0876 0.9124 0.2433  5 Sn 2.82-3.14, 3 Pd 3.07-3.08, 1 Y 3.08
Pd43 0.6667 0.3333 0.0000  6 Sn 2.72
Pd44 0.2842 0.1421 0.5000  6 Sn 2.75-2.83, 2 Pd 3.08
Pd45 0.0850 0.3207 0.0000  4 Sn 2.66-2.78, 1 Pd 2.98
Pd46 0.5771 0.0000 0.5000  4 Sn 2.67-2.74
Pd47 0.3416 0.8942 0.2211  5 Sn 2.79-2.89, 2 Pd 2.96-2.99
Pd48 0.4229 0.4229 0.5000  4 Sn 2.67-2.74
Pd49 0.5209 0.2605 0.6528  6 Sn 2.80-3.11, 3 Pd 2.87-2.96
Pd50 0.1751 0.0876 0.7567  5 Sn 2.82-3.14, 3 Pd 3.07-3.08, 1 Y 3.08
Pd51 0.3333 0.6667 0.0000  6 Sn 2.72
Pd52 0.2357 0.9150 0.0000  4 Sn 2.66-2.78, 1 Pd 2.98
Pd53 0.4474 0.1058 0.2211  5 Sn 2.79-2.89, 2 Pd 2.96-2.99
Pd54 0.8942 0.5526 0.7789  5 Sn 2.79-2.89, 2 Pd 2.96-2.99
Pd55 0.3416 0.4474 0.2211  5 Sn 2.79-2.89, 2 Pd 2.96-2.99
Pd56 0.0891 0.5446 0.0000  6 Sn 2.76-2.90, 4 Pd 2.99
Pd57 0.2357 0.3207 0.0000  4 Sn 2.66-2.78, 1 Pd 2.98
Pd58 0.6584 0.5526 0.2211  5 Sn 2.79-2.89, 2 Pd 2.96-2.99
Pd59 0.2605 0.7395 0.3472  6 Sn 2.80-3.11, 3 Pd 2.87-2.96
Pd60 0.6793 0.7643 0.0000  4 Sn 2.66-2.78, 1 Pd 2.98
Pd61 0.3207 0.2357 0.0000  4 Sn 2.66-2.78, 1 Pd 2.98
Pd62 0.3416 0.4474 0.7789  5 Sn 2.79-2.89, 2 Pd 2.96-2.99
Pd63 0.1058 0.4474 0.7789  5 Sn 2.79-2.89, 2 Pd 2.96-2.99
Pd64 0.8579 0.7158 0.5000  6 Sn 2.75-2.83, 2 Pd 3.08
Pd65 0.7158 0.8579 0.5000  6 Sn 2.75-2.83, 2 Pd 3.08
Pd66 0.0850 0.7643 0.0000  4 Sn 2.66-2.78, 1 Pd 2.98
Pd67 0.9109 0.4554 0.0000  6 Sn 2.76-2.90, 4 Pd 2.99
Pd68 0.5526 0.8942 0.7789  5 Sn 2.79-2.89, 2 Pd 2.96-2.99
Pd69 0.0876 0.1751 0.7567  5 Sn 2.82-3.14, 3 Pd 3.07-3.08, 1 Y 3.08
Pd70 0.6793 0.9150 0.0000  4 Sn 2.66-2.78, 1 Pd 2.98
Pd71 0.0000 0.5771 0.5000  4 Sn 2.67-2.74
Pd72 0.0000 0.4229 0.5000  4 Sn 2.67-2.74
Pd73 0.1058 0.4474 0.2211  5 Sn 2.79-2.89, 2 Pd 2.96-2.99
Pd74 0.8249 0.9124 0.7567  5 Sn 2.82-3.14, 3 Pd 3.07-3.08, 1 Y 3.08
Pd75 0.4229 0.0000 0.5000  4 Sn 2.67-2.74
Pd76 0.3207 0.0850 0.0000  4 Sn 2.66-2.78, 1 Pd 2.98
Pd77 0.3416 0.8942 0.7789  5 Sn 2.79-2.89, 2 Pd 2.96-2.99
Pd78 0.1058 0.6584 0.7789  5 Sn 2.79-2.89, 2 Pd 2.96-2.99
Pd79 0.4474 0.3416 0.7789  5 Sn 2.79-2.89, 2 Pd 2.96-2.99
Pd80 0.5446 0.0891 0.0000  6 Sn 2.76-2.90, 4 Pd 2.99
Sn1 0.5000 0.0000 0.7398  8 Pd 2.74-2.90
Sn2 0.1459 0.0000 0.5000  6 Pd 2.83-2.87, 2 Sn 2.95
Sn3 0.0000 0.1620 0.0000  6 Pd 2.78-2.82
Sn4 0.1620 0.0000 0.0000  6 Pd 2.78-2.82
Sn5 0.6070 0.2141 0.1862  6 Pd 2.72-2.87
Sn6 0.2141 0.6070 0.8138  6 Pd 2.72-2.87
Sn7 0.3546 0.1773 0.7683  5 Pd 2.72-2.89
Sn8 0.0000 0.5000 0.7398  8 Pd 2.74-2.90
Sn9 0.1773 0.8227 0.2317  5 Pd 2.72-2.89
Sn10 0.5000 0.5000 0.7398  8 Pd 2.74-2.90
Sn11 0.7146 0.1259 0.5000  6 Pd 2.67-2.89
Sn12 0.5000 0.0000 0.2602  8 Pd 2.74-2.90
Sn13 0.3930 0.7859 0.1862  6 Pd 2.72-2.87
Sn14 0.2854 0.4113 0.5000  6 Pd 2.67-2.89
Sn15 0.3546 0.1773 0.2317  5 Pd 2.72-2.89
Sn16 0.0000 0.8380 0.0000  6 Pd 2.78-2.82
Sn17 0.1773 0.3546 0.2317  5 Pd 2.72-2.89
Sn18 0.8227 0.1773 0.2317  5 Pd 2.72-2.89
Sn19 0.6454 0.8227 0.7683  5 Pd 2.72-2.89
Sn20 0.7859 0.3930 0.1862  6 Pd 2.72-2.87
Sn21 0.0000 0.8541 0.5000  6 Pd 2.83-2.87, 2 Sn 2.95
Sn22 0.8227 0.1773 0.7683  5 Pd 2.72-2.89
Sn23 0.6454 0.8227 0.2317  5 Pd 2.72-2.89
Sn24 0.5887 0.8741 0.5000  6 Pd 2.67-2.89
Sn25 0.6128 0.6128 0.0000  8 Pd 2.66-2.79
Sn26 0.0000 0.5000 0.2602  8 Pd 2.74-2.90
Sn27 0.7146 0.5887 0.5000  6 Pd 2.67-2.89
Sn28 0.8541 0.0000 0.5000  6 Pd 2.83-2.87, 2 Sn 2.95
Sn29 0.1620 0.1620 0.0000  6 Pd 2.78-2.82
Sn30 0.8227 0.6454 0.2317  5 Pd 2.72-2.89
Sn31 0.8380 0.8380 0.0000  6 Pd 2.78-2.82
Sn32 0.2854 0.8741 0.5000  6 Pd 2.67-2.89
Sn33 0.3872 0.0000 0.0000  8 Pd 2.66-2.79
Sn34 0.5000 0.5000 0.2602  8 Pd 2.74-2.90
Sn35 0.5887 0.7146 0.5000  6 Pd 2.67-2.89
Sn36 0.6070 0.3930 0.1862  6 Pd 2.72-2.87
Sn37 0.4113 0.2854 0.5000  6 Pd 2.67-2.89
Sn38 0.3872 0.3872 0.0000  8 Pd 2.66-2.79
Sn39 0.8541 0.8541 0.5000  6 Pd 2.83-2.87, 2 Sn 2.95
Sn40 0.1459 0.1459 0.5000  6 Pd 2.83-2.87, 2 Sn 2.95
Sn41 0.6070 0.3930 0.8138  6 Pd 2.72-2.87
Sn42 0.1259 0.4113 0.5000  6 Pd 2.67-2.89
Sn43 0.1773 0.3546 0.7683  5 Pd 2.72-2.89
Sn44 0.8227 0.6454 0.7683  5 Pd 2.72-2.89
Sn45 0.3930 0.6070 0.8138  6 Pd 2.72-2.87
Sn46 0.7859 0.3930 0.8138  6 Pd 2.72-2.87
Sn47 0.8380 0.0000 0.0000  6 Pd 2.78-2.82
Sn48 0.1259 0.7146 0.5000  6 Pd 2.67-2.89
Sn49 0.6667 0.3333 0.5000  6 Pd 2.93, 3 Y 3.15
Sn50 0.8741 0.5887 0.5000  6 Pd 2.67-2.89
Sn51 0.0000 0.1459 0.5000  6 Pd 2.83-2.87, 2 Sn 2.95
Sn52 0.3930 0.6070 0.1862  6 Pd 2.72-2.87
Sn53 0.6070 0.2141 0.8138  6 Pd 2.72-2.87
Sn54 0.0000 0.6128 0.0000  8 Pd 2.66-2.79
Sn55 0.1773 0.8227 0.7683  5 Pd 2.72-2.89
Sn56 0.4113 0.1259 0.5000  6 Pd 2.67-2.89
Sn57 0.6128 0.0000 0.0000  8 Pd 2.66-2.79
Sn58 0.2141 0.6070 0.1862  6 Pd 2.72-2.87
Sn59 0.8741 0.2854 0.5000  6 Pd 2.67-2.89
Sn60 0.3333 0.6667 0.5000  6 Pd 2.93, 3 Y 3.15
Sn61 0.3930 0.7859 0.8138  6 Pd 2.72-2.87
Sn62 0.0000 0.3872 0.0000  8 Pd 2.66-2.79
Y1 0.4232 0.8464 0.5000  5 Sn 3.10-3.15, 6 Pd 3.11-3.23
Y2 0.7292 0.7292 0.2891  8 Pd 3.10-3.39, 5 Sn 3.15-3.35
Y3 0.2708 0.0000 0.2891  8 Pd 3.10-3.39, 5 Sn 3.15-3.35
Y4 0.5768 0.4232 0.5000  5 Sn 3.10-3.15, 6 Pd 3.11-3.23
Y5 0.2431 0.4862 0.0000  9 Pd 3.16-3.32, 6 Sn 3.17-3.29
Y6 0.7292 0.0000 0.7109  8 Pd 3.10-3.39, 5 Sn 3.15-3.35
Y7 0.0000 0.7292 0.2891  8 Pd 3.10-3.39, 5 Sn 3.15-3.35
Y8 0.0000 0.2708 0.2891  8 Pd 3.10-3.39, 5 Sn 3.15-3.35
Y9 0.2708 0.2708 0.7109  8 Pd 3.10-3.39, 5 Sn 3.15-3.35
Y10 0.5768 0.1536 0.5000  5 Sn 3.10-3.15, 6 Pd 3.11-3.23
Y11 0.5138 0.7569 0.0000  9 Pd 3.16-3.32, 6 Sn 3.17-3.29
Y12 0.2431 0.7569 0.0000  9 Pd 3.16-3.32, 6 Sn 3.17-3.29
Y13 0.2708 0.2708 0.2891  8 Pd 3.10-3.39, 5 Sn 3.15-3.35
Y14 0.0000 0.0000 0.2087  6 Pd 3.08
Y15 0.4232 0.5768 0.5000  5 Sn 3.10-3.15, 6 Pd 3.11-3.23
Y16 0.0000 0.2708 0.7109  8 Pd 3.10-3.39, 5 Sn 3.15-3.35
Y17 0.1536 0.5768 0.5000  5 Sn 3.10-3.15, 6 Pd 3.11-3.23
Y18 0.0000 0.0000 0.7913  6 Pd 3.08
Y19 0.8464 0.4232 0.5000  5 Sn 3.10-3.15, 6 Pd 3.11-3.23
Y20 0.7569 0.2431 0.0000  9 Pd 3.16-3.32, 6 Sn 3.17-3.29
Y21 0.7569 0.5138 0.0000  9 Pd 3.16-3.32, 6 Sn 3.17-3.29
Y22 0.7292 0.7292 0.7109  8 Pd 3.10-3.39, 5 Sn 3.15-3.35
Y23 0.4862 0.2431 0.0000  9 Pd 3.16-3.32, 6 Sn 3.17-3.29
Y24 0.2708 0.0000 0.7109  8 Pd 3.10-3.39, 5 Sn 3.15-3.35
Y25 0.7292 0.0000 0.2891  8 Pd 3.10-3.39, 5 Sn 3.15-3.35
Y26 0.0000 0.7292 0.7109  8 Pd 3.10-3.39, 5 Sn 3.15-3.35

Computed properties:
- DFT total energy: -5.711 eV per atom
- Energy relative to the elements: -764 meV/atom

=====

No. 6
DFT (GGA-PBE) results for an optimized crystal structure of YSnPd.

Cell lengths 4.6577, 7.2454, 7.9894 Å; angles 90.00, 90.00, 90.00 degrees
Last column: nearest neighbours and their distance in Å.
Atoms (fractional coordinates):
Sn1 0.7500 0.1950 0.0879  4 Pd 2.70-2.89
Sn2 0.2500 0.3050 0.5879  4 Pd 2.70-2.89
Sn3 0.7500 0.6950 0.4121  4 Pd 2.70-2.89
Sn4 0.2500 0.8050 0.9121  4 Pd 2.70-2.89
Y1 0.2500 0.4923 0.2063  6 Pd 3.12-3.38, 6 Sn 3.21-3.34
Y2 0.7500 0.5077 0.7937  6 Pd 3.12-3.38, 6 Sn 3.21-3.34
Y3 0.2500 0.9923 0.2937  6 Pd 3.12-3.38, 6 Sn 3.21-3.34
Y4 0.7500 0.0077 0.7063  6 Pd 3.12-3.38, 6 Sn 3.21-3.34
Pd1 0.2500 0.2038 0.9165  4 Sn 2.70-2.89
Pd2 0.7500 0.2962 0.4165  4 Sn 2.70-2.89
Pd3 0.7500 0.7962 0.0835  4 Sn 2.70-2.89
Pd4 0.2500 0.7038 0.5835  4 Sn 2.70-2.89

Computed properties:
- DFT total energy: -6.157 eV per atom
- Energy relative to the elements: -939 meV/atom